No. 1
# Cs2Cd3B16O28 (PBE, optimized geometry)
data_Cs2Cd3B16O28
_cell_length_a 11.622
_cell_length_b 11.622
_cell_length_c 13.598
_cell_angle_alpha 89.27
_cell_angle_beta 89.27
_cell_angle_gamma 39.20
_space_group_name_H-M_alt 'P 1'
_space_group_IT_number 1
loop_
_space_group_symop_operation_xyz
'x,y,z'
loop_
_atom_site_label
_atom_site_type_symbol
_atom_site_fract_x
_atom_site_fract_y
_atom_site_fract_z
O1 O 0.984 0.878 0.987
B1 B 0.672 0.706 0.840
B2 B 0.651 0.489 0.579
O2 O 0.111 0.212 0.234
O3 O 0.175 0.675 0.786
B3 B 0.489 0.651 0.079
O4 O 0.978 0.868 0.650
Cs1 Cs 0.238 0.259 0.408
O5 O 0.484 0.370 0.821
O6 O 0.049 0.260 0.581
O7 O 0.591 0.731 0.756
B4 B 0.842 0.007 0.586
O8 O 0.370 0.484 0.321
O9 O 0.684 0.193 0.958
O10 O 0.521 0.609 0.846
O11 O 0.132 0.022 0.850
B5 B 0.488 0.324 0.250
B6 B 0.780 0.846 0.844
Cd1 Cd 0.756 0.242 0.400
B7 B 0.512 0.676 0.750
B8 B 0.487 0.329 0.586
O12 O 0.110 0.014 0.179
O13 O 0.321 0.829 0.377
O14 O 0.626 0.510 0.016
O15 O 0.277 0.404 0.083
O16 O 0.490 0.374 0.484
O17 O 0.807 0.316 0.542
O18 O 0.802 0.699 0.353
O19 O 0.212 0.111 0.734
O20 O 0.198 0.301 0.647
B9 B 0.511 0.349 0.921
B10 B 0.993 0.158 0.914
O21 O 0.890 0.986 0.821
Cd2 Cd 0.244 0.758 0.600
O22 O 0.269 0.409 0.744
O23 O 0.825 0.325 0.214
O24 O 0.889 0.788 0.766
B11 B 0.329 0.487 0.086
B12 B 0.846 0.780 0.344
O25 O 0.951 0.740 0.419
O26 O 0.679 0.171 0.623
O27 O 0.016 0.122 0.013
Cd3 Cd 0.758 0.244 0.100
O28 O 0.122 0.016 0.513
O29 O 0.609 0.521 0.346
B13 B 0.220 0.154 0.156
Cd4 Cd 0.743 0.257 0.750
B14 B 0.003 0.822 0.419
O30 O 0.325 0.825 0.714
O31 O 0.022 0.132 0.350
B15 B 0.676 0.512 0.250
O32 O 0.171 0.679 0.123
O33 O 0.316 0.807 0.042
O34 O 0.479 0.391 0.154
O35 O 0.868 0.978 0.150
B16 B 0.007 0.842 0.086
O36 O 0.301 0.198 0.147
O37 O 0.986 0.890 0.321
O38 O 0.731 0.591 0.256
Cs2 Cs 0.762 0.741 0.592
Cs3 Cs 0.741 0.762 0.092
O39 O 0.723 0.596 0.917
O40 O 0.630 0.516 0.679
O41 O 0.391 0.479 0.654
B17 B 0.178 0.997 0.081
O42 O 0.510 0.626 0.516
Cd5 Cd 0.242 0.756 0.900
O43 O 0.740 0.951 0.919
B18 B 0.981 0.830 0.757
B19 B 0.997 0.178 0.581
B20 B 0.671 0.513 0.914
B21 B 0.294 0.328 0.660
O44 O 0.699 0.802 0.853
B22 B 0.019 0.170 0.243
O45 O 0.193 0.684 0.458
O46 O 0.374 0.490 0.984
B23 B 0.154 0.220 0.656
O47 O 0.675 0.175 0.286
O48 O 0.829 0.321 0.877
Cd6 Cd 0.257 0.743 0.250
B24 B 0.513 0.671 0.414
Cs4 Cs 0.259 0.238 0.908
O49 O 0.404 0.277 0.583
O50 O 0.788 0.889 0.266
B25 B 0.349 0.511 0.421
B26 B 0.324 0.488 0.750
O51 O 0.878 0.984 0.487
O52 O 0.596 0.723 0.417
B27 B 0.822 0.003 0.919
B28 B 0.830 0.981 0.257
O53 O 0.516 0.630 0.179
B29 B 0.170 0.019 0.743
O54 O 0.014 0.110 0.679
O55 O 0.260 0.049 0.081
B30 B 0.328 0.294 0.160
B31 B 0.706 0.672 0.340
B32 B 0.158 0.993 0.414
O56 O 0.409 0.269 0.244
# energy of formation from the pure elements	-2.6840	eV/atom
# final energy	-7.393	eV/atom
# E (MP2020)	-7.7854	eV per atom

No. 2
# CdCu2B2O6 (PBE, optimized geometry)
data_CdCu2B2O6
_cell_length_a 15.247
_cell_length_b 3.565
_cell_length_c 9.519
_cell_angle_alpha 84.35
_cell_angle_beta 90.00
_cell_angle_gamma 90.00
_space_group_name_H-M_alt 'P 1'
_space_group_IT_number 1
loop_
_space_group_symop_operation_xyz
'x,y,z'
loop_
_atom_site_label
_atom_site_type_symbol
_atom_site_fract_x
_atom_site_fract_y
_atom_site_fract_z
B1 B 0.151 0.788 0.920
Cu1 Cu 0.254 0.320 0.136
O1 O 0.845 0.000 0.214
O2 O 0.228 0.733 0.990
Cu2 Cu 0.754 0.680 0.364
Cu3 Cu 0.246 0.320 0.636
Cd1 Cd 0.133 0.788 0.386
O3 O 0.649 0.681 0.263
Cu4 Cu 0.459 0.313 0.638
O4 O 0.071 0.654 0.968
O5 O 0.772 0.267 0.010
Cu5 Cu 0.746 0.680 0.864
O6 O 0.728 0.267 0.510
O7 O 0.003 0.040 0.710
O8 O 0.345 0.000 0.286
O9 O 0.503 0.960 0.790
O10 O 0.351 0.319 0.737
Cd2 Cd 0.367 0.788 0.886
O11 O 0.929 0.346 0.032
O12 O 0.655 0.000 0.714
O13 O 0.272 0.733 0.490
B2 B 0.912 0.892 0.315
O14 O 0.624 0.718 0.937
Cu6 Cu 0.541 0.687 0.362
O15 O 0.429 0.654 0.468
O16 O 0.997 0.960 0.290
O17 O 0.876 0.718 0.437
B3 B 0.588 0.892 0.815
B4 B 0.088 0.108 0.685
O18 O 0.155 0.000 0.786
B5 B 0.849 0.212 0.080
O19 O 0.376 0.282 0.063
O20 O 0.497 0.040 0.210
B6 B 0.651 0.212 0.580
Cd3 Cd 0.867 0.212 0.614
Cu7 Cu 0.041 0.313 0.138
B7 B 0.412 0.108 0.185
B8 B 0.349 0.788 0.420
O21 O 0.571 0.346 0.532
O22 O 0.851 0.681 0.763
O23 O 0.149 0.319 0.237
O24 O 0.124 0.282 0.563
Cd4 Cd 0.633 0.212 0.114
Cu8 Cu 0.959 0.687 0.862
# energy of formation from the pure elements	-1.8648	eV/atom
# final energy	-6.233	eV/atom
# E (MP2020)	-6.6073	eV per atom

No. 3
# TaCdBF10 (PBE, optimized geometry)
data_TaCdBF10
_cell_length_a 9.571
_cell_length_b 8.453
_cell_length_c 9.116
_cell_angle_alpha 85.64
_cell_angle_beta 90.00
_cell_angle_gamma 90.00
_space_group_name_H-M_alt 'P 1'
_space_group_IT_number 1
loop_
_space_group_symop_operation_xyz
'x,y,z'
loop_
_atom_site_label
_atom_site_type_symbol
_atom_site_fract_x
_atom_site_fract_y
_atom_site_fract_z
F1 F 0.687 0.976 0.903
F2 F 0.426 0.311 0.977
F3 F 0.941 0.896 0.733
F4 F 0.441 0.104 0.767
F5 F 0.313 0.024 0.097
F6 F 0.318 0.838 0.923
F7 F 0.649 0.963 0.591
F8 F 0.187 0.024 0.597
Ta1 Ta 0.568 0.666 0.239
F9 F 0.059 0.104 0.267
Cd1 Cd 0.024 0.180 0.715
F10 F 0.818 0.162 0.577
F11 F 0.851 0.963 0.091
F12 F 0.128 0.660 0.738
F13 F 0.274 0.319 0.260
Cd2 Cd 0.476 0.180 0.215
F14 F 0.559 0.896 0.233
F15 F 0.813 0.976 0.403
F16 F 0.872 0.340 0.262
F17 F 0.577 0.648 0.446
F18 F 0.351 0.037 0.409
F19 F 0.639 0.166 0.407
F20 F 0.926 0.689 0.523
F21 F 0.182 0.838 0.423
F22 F 0.071 0.562 0.273
B1 B 0.270 0.934 0.505
F23 F 0.923 0.648 0.946
F24 F 0.628 0.340 0.762
B2 B 0.230 0.934 0.005
F25 F 0.074 0.311 0.477
B3 B 0.730 0.066 0.495
F26 F 0.574 0.689 0.023
Cd3 Cd 0.976 0.820 0.285
F27 F 0.774 0.681 0.240
F28 F 0.571 0.438 0.227
F29 F 0.861 0.166 0.907
F30 F 0.361 0.834 0.593
F31 F 0.077 0.352 0.054
F32 F 0.139 0.834 0.093
Ta2 Ta 0.068 0.334 0.261
F33 F 0.682 0.162 0.077
Ta3 Ta 0.432 0.334 0.761
F34 F 0.429 0.562 0.773
F35 F 0.423 0.352 0.554
Cd4 Cd 0.524 0.820 0.785
F36 F 0.372 0.660 0.238
F37 F 0.226 0.319 0.760
F38 F 0.726 0.681 0.740
F39 F 0.929 0.438 0.727
B4 B 0.770 0.066 0.995
Ta4 Ta 0.932 0.666 0.739
F40 F 0.149 0.037 0.909
# energy of formation from the pure elements	-3.2243	eV/atom
# final energy	-5.839	eV/atom
# E (MP2020)	-6.1940	eV per atom

No. 4
# CdB2XeF10 (PBE, optimized geometry)
data_CdB2XeF10
_cell_length_a 9.254
_cell_length_b 8.992
_cell_length_c 11.012
_cell_angle_alpha 68.98
_cell_angle_beta 90.00
_cell_angle_gamma 90.00
_space_group_name_H-M_alt 'P 1'
_space_group_IT_number 1
loop_
_space_group_symop_operation_xyz
'x,y,z'
loop_
_atom_site_label
_atom_site_type_symbol
_atom_site_fract_x
_atom_site_fract_y
_atom_site_fract_z
Cd1 Cd 0.964 0.153 0.637
B1 B 0.401 0.778 0.291
F1 F 0.703 0.462 0.344
F2 F 0.970 0.920 0.148
Cd2 Cd 0.036 0.847 0.363
F3 F 0.923 0.746 0.575
F4 F 0.297 0.538 0.656
Cd3 Cd 0.536 0.653 0.637
F5 F 0.907 0.874 0.725
F6 F 0.355 0.093 0.475
Xe1 Xe 0.203 0.154 0.946
Xe2 Xe 0.797 0.846 0.054
B2 B 0.781 0.526 0.426
F7 F 0.145 0.593 0.475
B3 B 0.219 0.474 0.574
F8 F 0.797 0.962 0.344
F9 F 0.530 0.420 0.148
F10 F 0.820 0.103 0.481
F11 F 0.257 0.842 0.257
F12 F 0.407 0.626 0.275
F13 F 0.757 0.658 0.743
F14 F 0.620 0.141 0.347
F15 F 0.001 0.619 0.788
F16 F 0.423 0.754 0.425
B4 B 0.901 0.722 0.709
F17 F 0.243 0.342 0.257
F18 F 0.077 0.254 0.425
B5 B 0.719 0.026 0.426
F19 F 0.999 0.381 0.212
F20 F 0.203 0.038 0.656
F21 F 0.380 0.859 0.653
B6 B 0.599 0.222 0.709
F22 F 0.470 0.580 0.852
F23 F 0.880 0.641 0.347
Cd4 Cd 0.464 0.347 0.363
F24 F 0.645 0.907 0.525
F25 F 0.030 0.080 0.852
F26 F 0.093 0.126 0.275
B7 B 0.281 0.974 0.574
F27 F 0.367 0.226 0.036
F28 F 0.499 0.119 0.788
F29 F 0.180 0.897 0.519
Xe3 Xe 0.703 0.346 0.054
F30 F 0.593 0.374 0.725
F31 F 0.867 0.274 0.964
F32 F 0.133 0.726 0.036
B8 B 0.099 0.278 0.291
F33 F 0.680 0.603 0.481
F34 F 0.501 0.881 0.212
F35 F 0.320 0.397 0.519
F36 F 0.633 0.774 0.964
F37 F 0.120 0.359 0.653
F38 F 0.855 0.407 0.525
F39 F 0.577 0.246 0.575
Xe4 Xe 0.297 0.654 0.946
F40 F 0.743 0.158 0.743
# energy of formation from the pure elements	-2.5215	eV/atom
# final energy	-4.582	eV/atom
# E (MP2020)	-4.9118	eV per atom